# 1
Entry from Materials Project: Zr4CN3 after structural relaxation (PBE-GGA).

Unit cell a=10.8901 b=10.8901 c=10.8901 alpha=17.36 beta=17.36 gamma=17.36
Atoms (fractional coordinates):
Zr1 0.1253 0.1253 0.1253
Zr2 0.3743 0.3743 0.3743
Zr3 0.6257 0.6257 0.6257
Zr4 0.8747 0.8747 0.8747
C1 0.5000 0.5000 0.5000
N1 0.0000 0.0000 0.0000
N2 0.2515 0.2515 0.2515
N3 0.7485 0.7485 0.7485

Results
Calculated density ... 6.9 g cm⁻³
Volume ... 12.54 Å³ per atom
Energy relative to the elements ... -1.626 eV per atom

# 2
Entry from Materials Project: Cu2As3 after structural relaxation (PBE-GGA).

Unit cell a=4.0573 b=4.0573 c=6.0902 alpha=90.00 beta=90.00 gamma=120.00
Atoms (fractional coordinates):
Cu1 0.3333 0.6667 0.2830
Cu2 0.6667 0.3333 0.7170
As1 0.0000 0.0000 0.5000
As2 0.3333 0.6667 0.8507
As3 0.6667 0.3333 0.1493

Results
Calculated density ... 6.7 g cm⁻³
M_tot ... 0.0 μB per formula unit
Volume ... 17.36 Å³ per atom
Energy relative to the elements ... 0.175 eV per atom

# 3
Entry from Materials Project: KTiCl3 after structural relaxation (PBE-GGA).

Unit cell a=12.6313 b=12.6313 c=5.6335 alpha=90.00 beta=90.00 gamma=120.00
Atoms (fractional coordinates):
K1 0.0040 0.6661 0.0000
K2 0.3339 0.3379 0.0000
K3 0.3379 0.0040 0.5000
K4 0.6621 0.9960 0.0000
K5 0.6661 0.6621 0.5000
K6 0.9960 0.3339 0.5000
Ti1 0.0000 0.0000 0.3353
Ti2 0.0000 0.0000 0.8353
Ti3 0.3333 0.6667 0.2309
Ti4 0.3333 0.6667 0.6788
Ti5 0.6667 0.3333 0.1788
Ti6 0.6667 0.3333 0.7309
Cl1 0.0361 0.1808 0.0853
Cl2 0.1446 0.9639 0.0853
Cl3 0.1609 0.5210 0.9537
Cl4 0.1799 0.6961 0.4556
Cl5 0.1808 0.1446 0.5853
Cl6 0.3039 0.4838 0.4556
Cl7 0.3601 0.8391 0.9537
Cl8 0.4790 0.6399 0.9537
Cl9 0.4838 0.1799 0.9556
Cl10 0.5162 0.8201 0.4556
Cl11 0.5210 0.3601 0.4537
Cl12 0.6399 0.1609 0.4537
Cl13 0.6961 0.5162 0.9556
Cl14 0.8192 0.8554 0.0853
Cl15 0.8201 0.3039 0.9556
Cl16 0.8391 0.4790 0.4537
Cl17 0.8554 0.0361 0.5853
Cl18 0.9639 0.8192 0.5853

Results
Calculated density ... 2.5 g cm⁻³
M_tot ... 1.1 μB per formula unit
Volume ... 25.95 Å³ per atom
Energy relative to the elements ... -2.012 eV per atom

# 4
Entry from Materials Project: Cd3Se3O10 after structural relaxation (PBE-GGA).

Unit cell a=8.5770 b=5.4523 c=10.9853 alpha=90.00 beta=108.42 gamma=90.00
Atoms (fractional coordinates):
Cd1 0.0089 0.0000 0.3749
Cd2 0.0245 0.9901 0.8838
Cd3 0.3670 0.0154 0.7039
Cd4 0.6330 0.5154 0.2961
Cd5 0.9755 0.4901 0.1162
Cd6 0.9911 0.5000 0.6251
Se1 0.2516 0.5265 0.4554
Se2 0.2646 0.4650 0.9254
Se3 0.3496 0.0039 0.2165
Se4 0.6504 0.5039 0.7835
Se5 0.7354 0.9650 0.0746
Se6 0.7484 0.0265 0.5446
O1 0.0939 0.6221 0.3218
O2 0.1140 0.3560 0.9870
O3 0.1521 0.6774 0.8107
O4 0.1547 0.2971 0.5188
O5 0.2224 0.7663 0.5508
O6 0.2228 0.1539 0.2792
O7 0.2497 0.2128 0.8268
O8 0.2506 0.8396 0.0877
O9 0.4662 0.8117 0.3316
O10 0.4739 0.2076 0.1766
O11 0.5261 0.7076 0.8234
O12 0.5338 0.3117 0.6684
O13 0.7494 0.3396 0.9123
O14 0.7503 0.7128 0.1732
O15 0.7772 0.6539 0.7208
O16 0.7776 0.2663 0.4492
O17 0.8453 0.7971 0.4812
O18 0.8479 0.1774 0.1893
O19 0.8860 0.8560 0.0130
O20 0.9061 0.1221 0.6782

Results
Calculated density ... 5.0 g cm⁻³
Volume ... 15.23 Å³ per atom
Energy relative to the elements ... -1.381 eV per atom

# 5
Entry from Materials Project: TiC after structural relaxation (PBE-GGA).

Unit cell a=3.0658 b=3.0658 c=3.0658 alpha=60.00 beta=60.00 gamma=60.00
Atoms (fractional coordinates):
Ti1 0.0000 0.0000 0.0000
C1 0.5000 0.5000 0.5000

Results
Calculated density ... 4.9 g cm⁻³
Volume ... 10.19 Å³ per atom
Energy relative to the elements ... -0.809 eV per atom

# 6
Entry from Materials Project: Ba2NdReO6 after structural relaxation (PBE-GGA).

Unit cell a=6.0989 b=6.0989 c=6.0989 alpha=60.00 beta=60.00 gamma=60.00
Atoms (fractional coordinates):
Ba1 0.2500 0.2500 0.2500
Ba2 0.7500 0.7500 0.7500
Nd1 0.0000 0.0000 0.0000
Re1 0.5000 0.5000 0.5000
O1 0.2700 0.2700 0.7300
O2 0.2700 0.7300 0.2700
O3 0.2700 0.7300 0.7300
O4 0.7300 0.2700 0.2700
O5 0.7300 0.2700 0.7300
O6 0.7300 0.7300 0.2700

Results
Calculated density ... 7.3 g cm⁻³
M_tot ... 2.0 μB per formula unit
Volume ... 16.04 Å³ per atom
Energy relative to the elements ... -2.951 eV per atom

# 7
Entry from Materials Project: Nb2CrN3 after structural relaxation (PBE-GGA).

Unit cell a=6.2522 b=6.2522 c=6.2522 alpha=153.29 beta=145.50 gamma=44.16
Atoms (fractional coordinates):
Nb1 0.1495 0.1495 0.0000
Nb2 0.8505 0.8505 0.0000
Cr1 0.5000 0.5000 0.0000
N1 0.0000 0.5000 0.5000
N2 0.3304 0.3304 0.0000
N3 0.6696 0.6696 0.0000

Results
Calculated density ... 7.5 g cm⁻³
M_tot ... 1.0 μB per formula unit
Volume ... 10.34 Å³ per atom
Energy relative to the elements ... -0.807 eV per atom

# 8
Entry from Materials Project: Rb2Gd4Cu4S9 after structural relaxation (PBE-GGA).

Unit cell a=4.0011 b=7.2709 c=15.5114 alpha=93.98 beta=97.39 gamma=105.89
Atoms (fractional coordinates):
Rb1 0.2479 0.2145 0.2690
Rb2 0.7521 0.7855 0.7310
Gd1 0.1017 0.7548 0.4469
Gd2 0.1256 0.3598 0.8960
Gd3 0.8744 0.6402 0.1040
Gd4 0.8983 0.2452 0.5531
Cu1 0.3861 0.8260 0.9593
Cu2 0.4780 0.2338 0.7267
Cu3 0.5220 0.7662 0.2733
Cu4 0.6139 0.1740 0.0407
S1 0.0621 0.4052 0.7226
S2 0.2164 0.3496 0.0742
S3 0.3022 0.0072 0.6008
S4 0.4819 0.0912 0.8753
S5 0.5000 0.5000 0.5000
S6 0.5181 0.9088 0.1247
S7 0.6978 0.9928 0.3992
S8 0.7836 0.6504 0.9258
S9 0.9379 0.5948 0.2774

Results
Calculated density ... 5.2 g cm⁻³
M_tot ... 0.0 μB per formula unit
Volume ... 22.52 Å³ per atom
Energy above the lowest structure with this stoichiometry ... 0 meV/atom
Energy relative to the elements ... -1.654 eV per atom

# 9
Entry from Materials Project: CdSiO3 after structural relaxation (PBE-GGA).

Unit cell a=3.6199 b=3.6199 c=3.6199 alpha=90.00 beta=90.00 gamma=90.00
Atoms (fractional coordinates):
Cd1 0.0000 0.0000 0.0000
Si1 0.5000 0.5000 0.5000
O1 0.0000 0.5000 0.5000
O2 0.5000 0.0000 0.5000
O3 0.5000 0.5000 0.0000

Results
Calculated density ... 6.6 g cm⁻³
M_tot ... 0.0 μB per formula unit
Volume ... 9.49 Å³ per atom
Energy relative to the elements ... -2.169 eV per atom

# 10
Entry from Materials Project: Sm3Pt4 after structural relaxation (PBE-GGA).

Unit cell a=8.0513 b=8.0513 c=8.0513 alpha=114.44 beta=114.44 gamma=114.44
Atoms (fractional coordinates):
Sm1 0.0267 0.4033 0.2813
Sm2 0.2813 0.0267 0.4033
Sm3 0.4033 0.2813 0.0267
Sm4 0.5967 0.7187 0.9733
Sm5 0.7187 0.9733 0.5967
Sm6 0.9733 0.5967 0.7187
Pt1 0.0000 0.0000 0.0000
Pt2 0.0596 0.2229 0.5516
Pt3 0.2229 0.5516 0.0596
Pt4 0.4484 0.9404 0.7771
Pt5 0.5000 0.5000 0.5000
Pt6 0.5516 0.0596 0.2229
Pt7 0.7771 0.4484 0.9404
Pt8 0.9404 0.7771 0.4484

Results
Calculated density ... 13.3 g cm⁻³
Volume ... 21.88 Å³ per atom
Energy relative to the elements ... -1.135 eV per atom

# 11
Entry from Materials Project: Zr6Fe16Si7 after structural relaxation (PBE-GGA).

Unit cell a=8.0906 b=8.0906 c=8.0906 alpha=60.00 beta=60.00 gamma=60.00
Atoms (fractional coordinates):
Zr1 0.2080 0.2080 0.7920
Zr2 0.2080 0.7920 0.2080
Zr3 0.2080 0.7920 0.7920
Zr4 0.7920 0.2080 0.2080
Zr5 0.7920 0.2080 0.7920
Zr6 0.7920 0.7920 0.2080
Fe1 0.1332 0.6223 0.6223
Fe2 0.1763 0.1763 0.1763
Fe3 0.1763 0.1763 0.4712
Fe4 0.1763 0.4712 0.1763
Fe5 0.3777 0.3777 0.3777
Fe6 0.3777 0.3777 0.8668
Fe7 0.3777 0.8668 0.3777
Fe8 0.4712 0.1763 0.1763
Fe9 0.5288 0.8237 0.8237
Fe10 0.6223 0.1332 0.6223
Fe11 0.6223 0.6223 0.1332
Fe12 0.6223 0.6223 0.6223
Fe13 0.8237 0.5288 0.8237
Fe14 0.8237 0.8237 0.5288
Fe15 0.8237 0.8237 0.8237
Fe16 0.8668 0.3777 0.3777
Si1 0.0000 0.0000 0.5000
Si2 0.0000 0.5000 0.0000
Si3 0.0000 0.5000 0.5000
Si4 0.5000 0.0000 0.0000
Si5 0.5000 0.0000 0.5000
Si6 0.5000 0.5000 0.0000
Si7 0.5000 0.5000 0.5000

Results
Calculated density ... 7.3 g cm⁻³
M_tot ... 5.6 μB per formula unit
Volume ... 12.91 Å³ per atom
Energy relative to the elements ... -0.526 eV per atom

# 12
Entry from Materials Project: Ho4Al2O9 after structural relaxation (PBE-GGA).

Unit cell a=7.4320 b=10.5509 c=11.1604 alpha=90.00 beta=108.74 gamma=90.00
Atoms (fractional coordinates):
Ho1 0.0231 0.0917 0.3066
Ho2 0.0231 0.4083 0.8066
Ho3 0.1635 0.6218 0.5866
Ho4 0.1635 0.8782 0.0866
Ho5 0.3368 0.1239 0.9337
Ho6 0.3368 0.3761 0.4337
Ho7 0.4769 0.6055 0.2153
Ho8 0.4769 0.8945 0.7153
Ho9 0.5231 0.1055 0.2847
Ho10 0.5231 0.3945 0.7847
Ho11 0.6632 0.6239 0.5663
Ho12 0.6632 0.8761 0.0663
Ho13 0.8365 0.1218 0.9134
Ho14 0.8365 0.3782 0.4134
Ho15 0.9769 0.5917 0.1934
Ho16 0.9769 0.9083 0.6934
Al1 0.2171 0.1863 0.6287
Al2 0.2171 0.3137 0.1287
Al3 0.3451 0.6839 0.8852
Al4 0.3451 0.8161 0.3852
Al5 0.6549 0.1839 0.6148
Al6 0.6549 0.3161 0.1148
Al7 0.7829 0.6863 0.8713
Al8 0.7829 0.8137 0.3713
O1 0.0707 0.2343 0.4788
O2 0.0707 0.2657 0.9788
O3 0.0768 0.5054 0.3935
O4 0.0768 0.9946 0.8935
O5 0.2118 0.7288 0.2514
O6 0.2118 0.7712 0.7514
O7 0.2158 0.0245 0.6623
O8 0.2158 0.4755 0.1623
O9 0.2327 0.2304 0.2701
O10 0.2327 0.2696 0.7701
O11 0.3004 0.5257 0.8324
O12 0.3004 0.9743 0.3324
O13 0.3609 0.7297 0.0398
O14 0.3609 0.7703 0.5398
O15 0.4327 0.2456 0.6146
O16 0.4327 0.2544 0.1146
O17 0.4337 0.5085 0.6052
O18 0.4337 0.9915 0.1052
O19 0.5663 0.0085 0.8948
O20 0.5663 0.4915 0.3948
O21 0.5673 0.7456 0.8854
O22 0.5673 0.7544 0.3854
O23 0.6391 0.2297 0.4602
O24 0.6391 0.2703 0.9602
O25 0.6996 0.0257 0.6676
O26 0.6996 0.4743 0.1676
O27 0.7673 0.7304 0.2299
O28 0.7673 0.7696 0.7299
O29 0.7842 0.5245 0.8377
O30 0.7842 0.9755 0.3377
O31 0.7882 0.2288 0.2486
O32 0.7882 0.2712 0.7486
O33 0.9232 0.0054 0.1065
O34 0.9232 0.4946 0.6065
O35 0.9293 0.7343 0.0212
O36 0.9293 0.7657 0.5212

Results
Calculated density ... 6.9 g cm⁻³
M_tot ... 0.0 μB per formula unit
Volume ... 13.81 Å³ per atom
Energy relative to the elements ... -3.839 eV per atom

# 13
Entry from Materials Project: Sm2Ga9Ru5 after structural relaxation (PBE-GGA).

Unit cell a=8.1247 b=8.1247 c=8.1247 alpha=135.00 beta=135.00 gamma=65.54
Atoms (fractional coordinates):
Sm1 0.0000 0.5000 0.5000
Sm2 0.5000 0.0000 0.5000
Ga1 0.0000 0.0000 0.0000
Ga2 0.1408 0.1408 0.5818
Ga3 0.1408 0.5590 0.0000
Ga4 0.4410 0.4410 0.5818
Ga5 0.4410 0.8592 0.0000
Ga6 0.5590 0.1408 0.0000
Ga7 0.5590 0.5590 0.4182
Ga8 0.8592 0.4410 0.0000
Ga9 0.8592 0.8592 0.4182
Ru1 0.1789 0.1789 0.0000
Ru2 0.2500 0.7500 0.5000
Ru3 0.5000 0.5000 0.0000
Ru4 0.7500 0.2500 0.5000
Ru5 0.8211 0.8211 0.0000

Results
Calculated density ... 9.0 g cm⁻³
Volume ... 16.51 Å³ per atom
Energy relative to the elements ... -0.512 eV per atom

# 14
Entry from Materials Project: Sm2Ti3Bi2O12 after structural relaxation (PBE-GGA).

Unit cell a=16.7694 b=16.7694 c=16.7694 alpha=166.91 beta=166.91 gamma=18.55
Atoms (fractional coordinates):
Sm1 0.0658 0.0658 0.0000
Sm2 0.9342 0.9342 0.0000
Ti1 0.3730 0.3730 0.0000
Ti2 0.5000 0.5000 0.0000
Ti3 0.6270 0.6270 0.0000
Bi1 0.2110 0.2110 0.0000
Bi2 0.7890 0.7890 0.0000
O1 0.0000 0.5000 0.5000
O2 0.1135 0.6135 0.5000
O3 0.2500 0.7500 0.5000
O4 0.3188 0.3188 0.0000
O5 0.3865 0.8865 0.5000
O6 0.4414 0.4414 0.0000
O7 0.5000 0.0000 0.5000
O8 0.5586 0.5586 0.0000
O9 0.6135 0.1135 0.5000
O10 0.6812 0.6812 0.0000
O11 0.7500 0.2500 0.5000
O12 0.8865 0.3865 0.5000

Results
Calculated density ... 7.2 g cm⁻³
M_tot ... 0.0 μB per formula unit
Volume ... 12.73 Å³ per atom
Energy relative to the elements ... -3.121 eV per atom

# 15
Entry from Materials Project: BiMo6S8 after structural relaxation (PBE-GGA).

Unit cell a=6.5796 b=6.5796 c=6.5796 alpha=89.95 beta=89.95 gamma=89.95
Atoms (fractional coordinates):
Bi1 0.0000 0.0000 0.0000
Mo1 0.2267 0.5611 0.4161
Mo2 0.4161 0.2267 0.5611
Mo3 0.4389 0.5839 0.7733
Mo4 0.5611 0.4161 0.2267
Mo5 0.5839 0.7733 0.4389
Mo6 0.7733 0.4389 0.5839
S1 0.1270 0.3752 0.7408
S2 0.2409 0.2409 0.2409
S3 0.2592 0.8730 0.6248
S4 0.3752 0.7408 0.1270
S5 0.6248 0.2592 0.8730
S6 0.7408 0.1270 0.3752
S7 0.7591 0.7591 0.7591
S8 0.8730 0.6248 0.2592

Results
Calculated density ... 6.1 g cm⁻³
M_tot ... 0.0 μB per formula unit
Volume ... 18.99 Å³ per atom
Energy relative to the elements ... -0.887 eV per atom